! InCuSe2, optimized geometry, DFT GGA-PBE; values from VASP
&SYSTEM
  ibrav = 0, nat = 4, ntyp = 3
/
ATOMIC_SPECIES
In 114.82 In.upf
Cu 63.55 Cu.upf
Se 78.96 Se.upf
CELL_PARAMETERS angstrom
2.723 2.492 -1.921
-3.890 0.959 -4.268
-1.502 3.262 2.102
ATOMIC_POSITIONS angstrom
In -1.335 3.357 -2.043
Cu 0.000 0.000 0.000
Se -1.677 1.996 -4.295
Se -1.602 1.841 0.117
! formation energy	-665	meV per atom